Cs2ThSi6O15: optimized geometry, PBE.

a = 16.5550 Å, b = 7.3220 Å, c = 13.8594 Å
α = 90.00°, β = 90.00°, γ = 90.00°
Last column: nearest neighbours and their distance in Å.
Space group Pca2_1 (No. 29)
Unique sites:
Cs 0.0320 0.2444 0.0000 [4 per cell]  8 O 3.18-3.55
Cs 0.1438 0.2248 0.3102 [4 per cell]  6 O 3.15-3.43
Th 0.1199 0.7128 0.1500 [4 per cell]  6 O 2.29-2.35
Si 0.0562 0.0362 0.7288 [4 per cell]  4 O 1.61-1.65
Si 0.0768 0.4518 0.7212 [4 per cell]  4 O 1.61-1.65
Si 0.1094 0.7507 0.8825 [4 per cell]  4 O 1.60-1.65
Si 0.1925 0.9853 0.5754 [4 per cell]  4 O 1.61-1.66
Si 0.2040 0.7196 0.4063 [4 per cell]  4 O 1.60-1.66
Si 0.2173 0.4188 0.5715 [4 per cell]  4 O 1.61-1.65
O 0.0123 0.5155 0.1778 [4 per cell]  1 Si 1.61
O 0.0351 0.9573 0.1881 [4 per cell]  1 Si 1.61
O 0.0595 0.9192 0.8301 [4 per cell]  2 Si 1.65
O 0.0789 0.7275 0.9917 [4 per cell]  1 Si 1.60
O 0.0906 0.2393 0.7574 [4 per cell]  2 Si 1.64-1.65
O 0.0915 0.5648 0.8211 [4 per cell]  2 Si 1.63
O 0.1176 0.9458 0.6498 [4 per cell]  2 Si 1.63-1.64
O 0.1470 0.5021 0.6422 [4 per cell]  2 Si 1.64
O 0.1484 0.6891 0.3130 [4 per cell]  1 Si 1.60
O 0.1636 0.8796 0.4754 [4 per cell]  2 Si 1.66
O 0.1941 0.4467 0.1175 [4 per cell]  1 Si 1.61
O 0.1950 0.2043 0.5469 [4 per cell]  2 Si 1.65
O 0.2062 0.7957 0.8765 [4 per cell]  2 Si 1.64
O 0.2104 0.5257 0.4668 [4 per cell]  2 Si 1.65
O 0.2225 0.9133 0.1163 [4 per cell]  1 Si 1.61

## Properties
**Energy**: -0.2834 hartree per atom
**M_tot**: 0.00 μB/f.u.

=====

Cs10Tl6SiO4: optimized geometry, PBE.

a = 19.6367 Å, b = 11.7546 Å, c = 15.2745 Å
α = 90.00°, β = 90.25°, γ = 90.00°
Last column: nearest neighbours and their distance in Å.
Space group P2_1/c (No. 14)
Unique sites:
Cs 0.0651 0.1787 0.1944 [4 per cell]  1 O 2.94
Cs 0.0966 0.6593 0.6717 [4 per cell]  2 O 3.03-3.08
Cs 0.1243 0.0335 0.9381 [4 per cell]  2 O 2.89-2.96
Cs 0.2447 0.0379 0.3121 [4 per cell]  3 O 3.00-3.27, 1 Si 3.33
Cs 0.2467 0.2180 0.5845 [4 per cell]  2 O 3.05-3.06
Cs 0.2542 0.6730 0.3117 [4 per cell]  2 O 3.07-3.13
Cs 0.2540 0.6784 0.0441 [4 per cell]  2 O 2.90-3.06
Cs 0.3786 0.0391 0.9442 [4 per cell]  2 O 2.92-2.96
Cs 0.4052 0.6487 0.6799 [4 per cell]  2 O 3.04-3.09
Cs 0.4264 0.1891 0.2012 [4 per cell]  1 O 2.91
Tl 0.0566 0.1177 0.4583 [4 per cell]  4 Tl 3.13-3.19
Tl 0.0713 0.5071 0.1384 [4 per cell]  2 Tl 3.13-3.19
Tl 0.0765 0.6479 0.9318 [4 per cell]  2 Tl 3.13-3.17
Tl 0.4329 0.0994 0.4577 [4 per cell]  4 Tl 3.12-3.20
Tl 0.4335 0.5147 0.1418 [4 per cell]  2 Tl 3.12-3.20
Tl 0.4350 0.6690 0.9416 [4 per cell]  2 Tl 3.12-3.16
Si 0.2497 0.5250 0.5996 [4 per cell]  4 O 1.67-1.68
O 0.1792 0.0518 0.1185 [4 per cell]  1 Si 1.68
O 0.2505 0.6360 0.6689 [4 per cell]  1 Si 1.68
O 0.2508 0.5687 0.4957 [4 per cell]  1 Si 1.67
O 0.3177 0.0563 0.1208 [4 per cell]  1 Si 1.67

## Properties
**Energy**: -0.1176 hartree per atom
**M_tot**: 0.04 μB/f.u.

=====

Cs4U3Si4O17: optimized geometry, PBE.

a = 11.6901 Å, b = 7.6242 Å, c = 11.9700 Å
α = 90.00°, β = 107.45°, γ = 90.00°
Last column: nearest neighbours and their distance in Å.
Space group C2/m (No. 12)
Unique sites:
Cs 0.1488 0.0000 0.4205 [4 per cell]  6 O 3.01-3.25
Cs 0.1792 0.0000 0.0177 [4 per cell]  7 O 3.13-3.48
U 0.0000 0.5000 0.5000 [2 per cell]  6 O 2.08-2.22
U 0.0503 0.5000 0.1870 [4 per cell]  6 O 2.14-2.26
Si 0.1607 0.2064 0.7335 [8 per cell]  4 O 1.64-1.66
O 0.0000 0.5000 0.0000 [2 per cell]  2 U 2.14
O 0.0908 0.2992 0.8184 [8 per cell]  1 Si 1.64
O 0.0942 0.5000 0.3771 [4 per cell]  2 U 2.08-2.18
O 0.1135 0.0000 0.7139 [4 per cell]  2 Si 1.66
O 0.1235 0.2979 0.6036 [8 per cell]  1 Si 1.64
O 0.1937 0.2952 0.2029 [8 per cell]  1 Si 1.64

## Properties
**Energy**: -0.2925 hartree per atom

=====

Cs2USi6O15: optimized geometry, PBE.

a = 7.4056 Å, b = 16.5933 Å, c = 13.7041 Å
α = 90.00°, β = 90.00°, γ = 90.00°
Last column: nearest neighbours and their distance in Å.
Space group Cmc2_1 (No. 36)
Unique sites:
Cs 0.0000 0.1112 0.0000 [4 per cell]  11 O 3.32-3.71
Cs 0.0000 0.2221 0.3051 [4 per cell]  5 O 3.23-3.44
U 0.0000 0.3688 0.6550 [4 per cell]  6 O 2.24-2.28
Si 0.0000 0.3567 0.9237 [4 per cell]  4 O 1.60-1.64
Si 0.0000 0.4532 0.4010 [4 per cell]  4 O 1.61-1.65
Si 0.2047 0.1849 0.5798 [8 per cell]  4 O 1.62-1.64
Si 0.2166 0.0425 0.7301 [8 per cell]  4 O 1.61-1.65
O 0.0000 0.0494 0.7557 [4 per cell]  2 Si 1.65
O 0.0000 0.1611 0.5435 [4 per cell]  2 Si 1.64
O 0.0000 0.3297 0.8112 [4 per cell]  1 Si 1.60
O 0.0000 0.3925 0.4923 [4 per cell]  1 Si 1.61
O 0.0000 0.4539 0.9389 [4 per cell]  2 Si 1.63
O 0.1779 0.3194 0.9788 [8 per cell]  2 Si 1.64
O 0.1825 0.4375 0.3347 [8 per cell]  2 Si 1.65
O 0.2162 0.2743 0.6263 [8 per cell]  1 Si 1.62
O 0.2262 0.3835 0.1570 [8 per cell]  2 Si 1.63-1.64
O 0.2280 0.4558 0.6859 [8 per cell]  1 Si 1.61

## Properties
**Energy**: -0.2861 hartree per atom
**M_tot**: 2.00 μB/f.u.

=====

Cs2ZrSi3O9: optimized geometry, PBE.

a = 7.3323 Å, b = 7.3323 Å, c = 10.4387 Å
α = 90.00°, β = 90.00°, γ = 120.00°
Last column: nearest neighbours and their distance in Å.
Space group P6_3/m (No. 176)
Unique sites:
Cs 0.3333 0.6667 0.0637 [4 per cell]  12 O 3.24-3.62
Zr 0.0000 0.0000 0.0000 [2 per cell]  6 O 2.12
Si 0.1544 0.3898 0.7500 [6 per cell]  4 O 1.62-1.68
O 0.0633 0.2602 0.6180 [12 per cell]  1 Si 1.62
O 0.0947 0.5830 0.7500 [6 per cell]  2 Si 1.67-1.68

## Properties
**Energy**: -0.2776 hartree per atom
**M_tot**: 0.00 μB/f.u.

=====

CsSnO3: optimized geometry, PBE.

a = 4.2740 Å, b = 4.2740 Å, c = 4.2740 Å
α = 90.00°, β = 90.00°, γ = 90.00°
Last column: nearest neighbours and their distance in Å.
Space group Pm-3m (No. 221)
Unique sites:
Cs 0.0000 0.0000 0.0000 [1 per cell]  12 O 3.02
Sn 0.5000 0.5000 0.5000 [1 per cell]  6 O 2.14
O 0.0000 0.5000 0.5000 [3 per cell]  2 Sn 2.14

## Properties
**Energy**: -0.1863 hartree per atom
**M_tot**: 1.00 μB/f.u.

=====

Energy of formation from the pure elements, respectively: -3.309, -1.029, -3.259, -3.222, -3.224, -1.531 eV/atom.